Below is a relaxed structure of Na5H4BrO4, with properties calculated at the PBE level.

Summary:
spin magnetization: 0.000 Bohr magnetons per cell
ρ: 2.37 g/cm3
calculated formation energy: -1.5546 eV/atom
MP2020-corrected energy: -0.33272 Ry per atom

Unit cell a=11.8261 b=18.9054 c=6.5890 alpha=90.00 beta=90.00 gamma=90.00
Space group Pnma (No. 62)
Unique sites:
Na (0.0000, 0.0000, 0.0000)
Na (0.0177, 0.2500, 0.1488)
Na (0.0513, 0.2500, 0.6079)
Na (0.1032, 0.6243, 0.2549)
Na (0.1542, 0.1248, 0.3664)
Na (0.1875, 0.7500, 0.5423)
Na (0.2344, 0.5046, 0.6238)
H (0.0270, 0.0032, 0.3803)
H (0.0689, 0.6205, 0.6293)
H (0.1215, 0.6156, 0.8712)
H (0.1801, 0.7500, 0.1320)
H (0.2313, 0.7500, 0.8946)
Br (0.1497, 0.1309, 0.8757)
O (0.0398, 0.6668, 0.5920)
O (0.0988, 0.7500, 0.1564)
O (0.1063, 0.9998, 0.3416)
O (0.1593, 0.5718, 0.9101)
O (0.1923, 0.2500, 0.3396)

---

Below is a relaxed structure of NaH6BrO5, with properties calculated at the PBE level.

Summary:
spin magnetization: 0.000 Bohr magnetons per cell
ρ: 2.14 g/cm3
calculated formation energy: -1.1698 eV/atom
MP2020-corrected energy: -0.35767 Ry per atom

Unit cell a=5.5261 b=6.4875 c=9.0872 alpha=72.63 beta=87.84 gamma=70.59
Space group P-1 (No. 2)
Unique sites:
Na (0.2293, 0.0478, 0.0990)
H (0.0928, 0.9316, 0.6513)
H (0.1150, 0.8243, 0.4270)
H (0.2060, 0.1778, 0.7642)
H (0.2455, 0.5955, 0.0655)
H (0.3054, 0.3775, 0.7643)
H (0.3504, 0.7314, 0.9197)
Br (0.3972, 0.3272, 0.3726)
O (0.0084, 0.9208, 0.3298)
O (0.2105, 0.7523, 0.9901)
O (0.2868, 0.6674, 0.6168)
O (0.3238, 0.2169, 0.8221)
O (0.3421, 0.3240, 0.1853)

---

Below is a relaxed structure of SrH10Pb2Br6O5, with properties calculated at the PBE level.

Summary:
spin magnetization: 0.003 Bohr magnetons per cell
ρ: 4.27 g/cm3
calculated formation energy: -1.2933 eV/atom
MP2020-corrected energy: -0.33271 Ry per atom

Unit cell a=15.5358 b=12.5053 c=9.4376 alpha=90.00 beta=114.63 gamma=90.00
Space group C2/c (No. 15)
Unique sites:
Sr (0.0000, 0.0205, 0.2500)
H (0.0547, 0.2697, 0.2734)
H (0.0609, 0.1651, 0.5666)
H (0.1432, 0.0842, 0.6176)
H (0.1795, 0.1188, 0.2239)
H (0.2123, 0.1214, 0.4057)
Pb (0.1412, 0.4075, 0.9672)
Br (0.0659, 0.3697, 0.6119)
Br (0.1485, 0.1639, 0.9694)
Br (0.1917, 0.3755, 0.3186)
O (0.0000, 0.2222, 0.2500)
O (0.0732, 0.0875, 0.5673)
O (0.1724, 0.0818, 0.3110)

---

Below is a relaxed structure of Rb2HBrO, with properties calculated at the PBE level.

Summary:
ρ: 3.17 g/cm3
calculated formation energy: -1.6144 eV/atom
MP2020-corrected energy: -0.29415 Ry per atom

Unit cell a=7.1370 b=4.5425 c=9.0510 alpha=90.00 beta=107.08 gamma=90.00
Space group P2_1/m (No. 11)
Unique sites:
Rb (0.2104, 0.2500, 0.3834)
Rb (0.2098, 0.2500, 0.9603)
H (0.3271, 0.7500, 0.1974)
Br (0.3208, 0.7500, 0.6998)
O (0.1842, 0.7500, 0.1665)